Entry 1:
VASP calculation (GGA-PBE) on a relaxed Li5BO4 crystal.

Properties
E_form, eV/atom: -2.315
Total moment, μB/cell: 0.00
SG: Pbca
Volume, A^3/atom: 8.362

Cell: 8.592 8.703 8.946 Å, 90.00 90.00 90.00°
Positions (direct):
O: 0.259 0.947 0.535
O: 0.034 0.249 0.043
O: 0.466 0.751 0.543
O: 0.034 0.251 0.543
O: 0.241 0.447 0.535
O: 0.241 0.053 0.035
O: 0.271 0.745 0.242
O: 0.729 0.255 0.758
O: 0.771 0.755 0.758
O: 0.461 0.965 0.743
O: 0.539 0.035 0.257
O: 0.759 0.553 0.465
O: 0.271 0.755 0.742
O: 0.534 0.251 0.957
O: 0.229 0.255 0.742
O: 0.729 0.245 0.258
O: 0.771 0.745 0.258
O: 0.039 0.035 0.243
O: 0.966 0.751 0.957
O: 0.259 0.553 0.035
O: 0.539 0.465 0.757
O: 0.461 0.535 0.243
O: 0.966 0.749 0.457
O: 0.961 0.535 0.257
O: 0.466 0.749 0.043
O: 0.741 0.053 0.465
O: 0.759 0.947 0.965
O: 0.534 0.249 0.457
O: 0.741 0.447 0.965
O: 0.039 0.465 0.743
O: 0.961 0.965 0.757
O: 0.229 0.245 0.242
Li: 0.593 0.823 0.871
Li: 0.686 0.376 0.591
Li: 0.931 0.913 0.097
Li: 0.140 0.083 0.654
Li: 0.407 0.323 0.629
Li: 0.431 0.913 0.403
Li: 0.093 0.677 0.129
Li: 0.186 0.376 0.909
Li: 0.431 0.587 0.903
Li: 0.593 0.677 0.371
Li: 0.931 0.587 0.597
Li: 0.907 0.177 0.371
Li: 0.860 0.917 0.346
Li: 0.140 0.417 0.154
Li: 0.366 0.356 0.359
Li: 0.314 0.876 0.909
Li: 0.314 0.624 0.409
Li: 0.814 0.876 0.591
Li: 0.640 0.083 0.846
Li: 0.860 0.583 0.846
Li: 0.360 0.583 0.654
Li: 0.814 0.624 0.091
Li: 0.569 0.413 0.097
Li: 0.069 0.087 0.903
Li: 0.866 0.144 0.641
Li: 0.366 0.144 0.859
Li: 0.186 0.124 0.409
Li: 0.360 0.917 0.154
Li: 0.134 0.856 0.359
Li: 0.907 0.323 0.871
Li: 0.866 0.356 0.141
Li: 0.686 0.124 0.091
Li: 0.134 0.644 0.859
Li: 0.569 0.087 0.597
Li: 0.407 0.177 0.129
Li: 0.069 0.413 0.403
Li: 0.634 0.856 0.141
Li: 0.640 0.417 0.346
Li: 0.093 0.823 0.629
Li: 0.634 0.644 0.641
B: 0.633 0.356 0.858
B: 0.367 0.644 0.142
B: 0.367 0.856 0.642
B: 0.133 0.356 0.642
B: 0.633 0.144 0.358
B: 0.867 0.856 0.858
B: 0.133 0.144 0.142
B: 0.867 0.644 0.358



Entry 2:
VASP calculation (GGA-PBE) on a relaxed Dy5Mg24 crystal.

Properties
E_form, eV/atom: -0.039
SG: I-43m
Volume, A^3/atom: 24.646

Cell: 9.756 9.756 9.756 Å, 109.47 109.47 109.47°
Positions (direct):
Mg: 0.321 0.000 0.607
Mg: 0.679 0.679 0.286
Mg: 0.000 0.321 0.607
Mg: 0.000 0.607 0.321
Mg: 0.809 0.628 0.000
Mg: 0.628 0.000 0.809
Mg: 0.286 0.679 0.679
Mg: 0.819 0.191 0.191
Mg: 0.372 0.372 0.181
Mg: 0.714 0.393 0.393
Mg: 0.607 0.000 0.321
Mg: 0.191 0.191 0.819
Mg: 0.809 0.000 0.628
Mg: 0.372 0.181 0.372
Mg: 0.191 0.819 0.191
Mg: 0.000 0.628 0.809
Mg: 0.321 0.607 0.000
Mg: 0.181 0.372 0.372
Mg: 0.000 0.809 0.628
Mg: 0.393 0.714 0.393
Mg: 0.393 0.393 0.714
Mg: 0.679 0.286 0.679
Mg: 0.628 0.809 0.000
Mg: 0.607 0.321 0.000
Dy: 0.000 0.369 0.000
Dy: 0.000 0.000 0.000
Dy: 0.000 0.000 0.369
Dy: 0.631 0.631 0.631
Dy: 0.369 0.000 0.000



Entry 3:
VASP calculation (GGA-PBE) on a relaxed BaLaSi2 crystal.

Properties
E_form, eV/atom: -0.561
SG: Cmcm
Volume, A^3/atom: 29.372

Cell: 7.830 7.830 6.780 Å, 90.00 90.00 145.58°
Positions (direct):
Si: 0.924 0.076 0.932
Si: 0.076 0.924 0.432
Si: 0.924 0.076 0.568
Si: 0.076 0.924 0.068
La: 0.451 0.549 0.250
La: 0.549 0.451 0.750
Ba: 0.723 0.277 0.250
Ba: 0.277 0.723 0.750



Entry 4:
VASP calculation (GGA-PBE) on a relaxed Hf2Al3C5 crystal.

Properties
E_form, eV/atom: -0.129
Total moment, μB/cell: 0.00
SG: P6_3/mmc
Volume, A^3/atom: 10.952

Cell: 3.225 3.225 24.321 Å, 90.00 90.00 120.00°
Positions (direct):
C: 0.000 0.000 0.500
C: 0.667 0.333 0.716
C: 0.667 0.333 0.113
C: 0.000 0.000 0.000
C: 0.667 0.333 0.784
C: 0.333 0.667 0.216
C: 0.667 0.333 0.387
C: 0.333 0.667 0.284
C: 0.333 0.667 0.613
C: 0.333 0.667 0.887
Al: 0.000 0.000 0.154
Al: 0.333 0.667 0.750
Al: 0.000 0.000 0.846
Al: 0.000 0.000 0.654
Al: 0.000 0.000 0.346
Al: 0.667 0.333 0.250
Hf: 0.333 0.667 0.444
Hf: 0.667 0.333 0.944
Hf: 0.333 0.667 0.056
Hf: 0.667 0.333 0.556



Entry 5:
VASP calculation (GGA-PBE) on a relaxed Cd5Cu2 crystal.

Properties
E_form, eV/atom: 0.022
SG: P6_3/mmc
Volume, A^3/atom: 19.008

Cell: 8.340 8.340 8.835 Å, 90.00 90.00 120.00°
Positions (direct):
Cd: 0.797 0.593 0.042
Cd: 0.074 0.537 0.250
Cd: 0.000 0.000 0.500
Cd: 0.203 0.407 0.958
Cd: 0.203 0.797 0.958
Cd: 0.537 0.074 0.750
Cd: 0.000 0.000 0.000
Cd: 0.537 0.463 0.750
Cd: 0.407 0.203 0.458
Cd: 0.797 0.203 0.458
Cd: 0.463 0.926 0.250
Cd: 0.463 0.537 0.250
Cd: 0.593 0.797 0.542
Cd: 0.926 0.463 0.750
Cd: 0.203 0.407 0.542
Cd: 0.797 0.593 0.458
Cd: 0.797 0.203 0.042
Cd: 0.203 0.797 0.542
Cd: 0.593 0.797 0.958
Cd: 0.407 0.203 0.042
Cu: 0.333 0.667 0.750
Cu: 0.889 0.778 0.750
Cu: 0.111 0.222 0.250
Cu: 0.889 0.111 0.750
Cu: 0.222 0.111 0.750
Cu: 0.778 0.889 0.250
Cu: 0.667 0.333 0.250
Cu: 0.111 0.889 0.250



Entry 6:
VASP calculation (GGA-PBE) on a relaxed Rb2LiNdF6 crystal.

Properties
E_form, eV/atom: -3.529
Total moment, μB/cell: 0.00
SG: Fm-3m
Volume, A^3/atom: 17.431

Cell: 6.270 6.270 6.270 Å, 60.00 60.00 60.00°
Positions (direct):
Rb: 0.750 0.750 0.750
Rb: 0.250 0.250 0.250
F: 0.257 0.743 0.257
F: 0.743 0.257 0.257
F: 0.257 0.257 0.743
F: 0.743 0.743 0.257
F: 0.743 0.257 0.743
F: 0.257 0.743 0.743
Li: 0.500 0.500 0.500
Nd: 0.000 0.000 0.000



Entry 7:
VASP calculation (GGA-PBE) on a relaxed LiTm2Pt crystal.

Properties
E_form, eV/atom: -0.716
Total moment, μB/cell: 0.01
SG: Fm-3m
Volume, A^3/atom: 20.875

Cell: 4.906 4.906 4.906 Å, 60.00 60.00 60.00°
Positions (direct):
Li: 0.000 0.000 0.000
Tm: 0.250 0.250 0.250
Tm: 0.750 0.750 0.750
Pt: 0.500 0.500 0.500



Entry 8:
VASP calculation (GGA-PBE) on a relaxed NaLaTl2 crystal.

Properties
E_form, eV/atom: -0.305
SG: Fm-3m
Volume, A^3/atom: 29.650

Cell: 5.515 5.515 5.515 Å, 60.00 60.00 60.00°
Positions (direct):
Tl: 0.750 0.750 0.750
Tl: 0.250 0.250 0.250
Na: 0.000 0.000 0.000
La: 0.500 0.500 0.500



Entry 9:
VASP calculation (GGA-PBE) on a relaxed YI3O11 crystal.

Properties
E_form, eV/atom: -1.002
Total moment, μB/cell: 8.00
SG: P-1
Volume, A^3/atom: 16.928

Cell: 7.068 7.571 10.710 Å, 94.43 105.52 110.52°
Positions (direct):
O: 0.376 0.601 0.535
O: 0.142 0.222 0.407
O: 0.707 0.036 0.486
O: 0.236 0.058 0.747
O: 0.433 0.046 0.249
O: 0.293 0.964 0.514
O: 0.437 0.458 0.152
O: 0.777 0.340 0.724
O: 0.098 0.347 0.639
O: 0.256 0.718 0.890
O: 0.563 0.542 0.848
O: 0.744 0.282 0.110
O: 0.904 0.704 0.090
O: 0.858 0.778 0.593
O: 0.567 0.954 0.751
O: 0.070 0.124 0.130
O: 0.764 0.942 0.253
O: 0.930 0.876 0.870
O: 0.902 0.653 0.361
O: 0.096 0.296 0.910
O: 0.223 0.660 0.276
O: 0.624 0.399 0.465
Y: 0.102 0.923 0.289
Y: 0.898 0.077 0.711
I: 0.722 0.139 0.338
I: 0.317 0.358 0.574
I: 0.278 0.861 0.662
I: 0.266 0.229 0.044
I: 0.683 0.642 0.426
I: 0.734 0.771 0.956



Entry 10:
VASP calculation (GGA-PBE) on a relaxed Ba2Mg3F10 crystal.

Properties
E_form, eV/atom: -3.955
SG: C2/m
Volume, A^3/atom: 13.853

Cell: 9.845 9.845 7.928 Å, 69.11 69.11 35.68°
Positions (direct):
Ba: 0.716 0.716 0.685
Ba: 0.386 0.386 0.719
Ba: 0.284 0.284 0.315
Ba: 0.614 0.614 0.281
F: 0.483 0.483 0.179
F: 0.866 0.866 0.743
F: 0.134 0.134 0.257
F: 0.386 0.910 0.525
F: 0.764 0.764 0.278
F: 0.781 0.219 0.500
F: 0.090 0.614 0.475
F: 0.910 0.386 0.525
F: 0.236 0.236 0.722
F: 0.022 0.022 0.818
F: 0.636 0.142 0.025
F: 0.614 0.090 0.475
F: 0.219 0.781 0.500
F: 0.364 0.858 0.975
F: 0.000 0.500 0.000
F: 0.517 0.517 0.821
F: 0.142 0.636 0.025
F: 0.978 0.978 0.182
F: 0.500 0.000 0.000
F: 0.858 0.364 0.975
Mg: 0.074 0.074 0.546
Mg: 0.926 0.926 0.454
Mg: 0.254 0.746 0.000
Mg: 0.746 0.254 0.000
Mg: 0.177 0.177 0.986
Mg: 0.823 0.823 0.014



Entry 11:
VASP calculation (GGA-PBE) on a relaxed Er3S2OF3 crystal.

Properties
E_form, eV/atom: -3.597
Total moment, μB/cell: 0.01
SG: Cc
Volume, A^3/atom: 15.194

Cell: 9.853 9.853 5.370 Å, 89.76 89.76 148.36°
Positions (direct):
S: 0.940 0.050 0.759
S: 0.050 0.940 0.259
S: 0.559 0.450 0.741
S: 0.450 0.559 0.241
O: 0.383 0.013 0.946
O: 0.013 0.383 0.446
Er: 0.575 0.388 0.232
Er: 0.919 0.115 0.268
Er: 0.246 0.747 0.246
Er: 0.388 0.575 0.732
Er: 0.115 0.919 0.768
Er: 0.747 0.246 0.746
F: 0.123 0.497 0.942
F: 0.497 0.123 0.442
F: 0.988 0.622 0.557
F: 0.622 0.988 0.057
F: 0.878 0.506 0.058
F: 0.506 0.878 0.558



Entry 12:
VASP calculation (GGA-PBE) on a relaxed Hf5CuPb3 crystal.

Properties
E_form, eV/atom: -0.091
SG: P6_3/mcm
Volume, A^3/atom: 21.436

Cell: 8.707 8.707 5.877 Å, 90.00 90.00 120.00°
Positions (direct):
Pb: 0.389 0.000 0.750
Pb: 0.389 0.389 0.250
Pb: 0.000 0.611 0.250
Pb: 0.611 0.000 0.250
Pb: 0.611 0.611 0.750
Pb: 0.000 0.389 0.750
Hf: 0.000 0.257 0.250
Hf: 0.333 0.667 0.500
Hf: 0.257 0.257 0.750
Hf: 0.667 0.333 0.000
Hf: 0.000 0.743 0.750
Hf: 0.743 0.743 0.250
Hf: 0.333 0.667 0.000
Hf: 0.257 0.000 0.250
Hf: 0.743 0.000 0.750
Hf: 0.667 0.333 0.500
Cu: 0.000 0.000 0.500
Cu: 0.000 0.000 0.000